Entry 1:
A relaxed structure of Be4AlCu, computed with r2SCAN.

## Properties
Calculated volume: 9.424 Å³/atom
Raw total energy: -0.43462 Ry per atom

Cell lengths 6.093, 6.093, 6.093 Å; angles 90.00, 90.00, 90.00 degrees
Space group F-43m (No. 216)
Symmetry-distinct sites (fractional):
Be 0.125 0.125 0.125
Al 0.000 0.000 0.500
Cu 0.250 0.250 0.750

Entry 2:
A relaxed structure of Ba3UFe2O9, computed with r2SCAN.

## Properties
Calculated volume: 14.123 Å³/atom
Raw total energy: -1.39074 Ry per atom

Cell lengths 5.830, 8.271, 17.573 Å; angles 90.00, 90.00, 90.00 degrees
Space group Immm (No. 71)
Symmetry-distinct sites (fractional):
Ba 0.000 0.236 0.000
Ba 0.000 0.260 0.341
U 0.000 0.500 0.168
Fe 0.000 0.000 0.157
Fe 0.000 0.000 0.500
Fe 0.000 0.500 0.500
O 0.000 0.245 0.500
O 0.000 0.246 0.167
O 0.249 0.000 0.083
O 0.249 0.000 0.416
O 0.249 0.500 0.251

Entry 3:
A relaxed structure of BiSCl, computed with r2SCAN.

## Properties
Calculated volume: 27.093 Å³/atom
Raw total energy: -1.83480 Ry per atom

Cell lengths 7.828, 3.995, 10.395 Å; angles 90.00, 90.00, 90.00 degrees
Space group Pnma (No. 62)
Symmetry-distinct sites (fractional):
Bi 0.129 0.250 0.132
S 0.182 0.750 0.959
Cl 0.028 0.250 0.704

Entry 4:
A relaxed structure of MgH12Cl2O6, computed with r2SCAN.

## Properties
Calculated volume: 9.762 Å³/atom
Raw total energy: -0.41868 Ry per atom

Cell lengths 9.757, 6.968, 6.044 Å; angles 90.00, 93.74, 90.00 degrees
Space group C2/m (No. 12)
Symmetry-distinct sites (fractional):
Mg 0.000 0.000 0.000
H 0.023 0.304 0.286
H 0.119 0.201 0.680
H 0.224 0.500 0.990
H 0.243 0.000 0.263
Cl 0.185 0.500 0.390
O 0.044 0.211 0.777
O 0.203 0.000 0.111

Entry 5:
A relaxed structure of K2ZnBr4, computed with r2SCAN.

## Properties
Calculated volume: 33.298 Å³/atom
Raw total energy: -0.89538 Ry per atom

Cell lengths 7.218, 7.462, 9.147 Å; angles 90.00, 108.88, 90.00 degrees
Space group P2_1/m (No. 11)
Symmetry-distinct sites (fractional):
K 0.206 0.250 0.045
K 0.277 0.250 0.574
Zn 0.219 0.750 0.793
Br 0.002 0.503 0.267
Br 0.395 0.750 0.067
Br 0.426 0.750 0.634

Entry 6:
A relaxed structure of TaV2, computed with r2SCAN.

## Properties
Calculated volume: 14.962 Å³/atom
Raw total energy: -1.88901 Ry per atom

Cell lengths 7.108, 7.108, 7.108 Å; angles 90.00, 90.00, 90.00 degrees
Space group Fd-3m (No. 227, origin choice 2)
Symmetry-distinct sites (fractional):
Ta 0.125 0.125 0.125
V 0.000 0.000 0.500

Entry 7:
A relaxed structure of SmAl, computed with r2SCAN.

## Properties
Calculated volume: 24.738 Å³/atom
Raw total energy: -1.37048 Ry per atom

Cell lengths 3.671, 3.671, 3.671 Å; angles 90.00, 90.00, 90.00 degrees
Space group Pm-3m (No. 221)
Symmetry-distinct sites (fractional):
Sm 0.000 0.000 0.000
Al 0.500 0.500 0.500

Entry 8:
A relaxed structure of HoCrO4, computed with r2SCAN.

## Properties
Calculated volume: 12.956 Å³/atom
Raw total energy: -1.08981 Ry per atom

Cell lengths 7.067, 7.067, 6.225 Å; angles 90.00, 90.00, 90.00 degrees
Space group I4_122 (No. 98)
Symmetry-distinct sites (fractional):
Ho 0.000 0.000 0.000
Cr 0.000 0.000 0.500
O 0.005 0.184 0.325

> Which of these has the highest raw total energy?

MgH12Cl2O6